Record 1
{
  "formula": "Na5CrO4",
  "functional": "GGA+U",
  "state": "optimized geometry",
  "cell": [[10.473, 0.000, 0.000], [0.000, 10.583, 0.000], [0.000, 0.000, 10.675]],
  "species": ["Na", "Na", "Na", "Na", "Na", "Na", "Na", "Na", "Na", "Na", "Na", "Na", "Na", "Na", "Na", "Na", "Na", "Na", "Na", "Na", "Na", "Na", "Na", "Na", "Na", "Na", "Na", "Na", "Na", "Na", "Na", "Na", "Na", "Na", "Na", "Na", "Na", "Na", "Na", "Na", "O", "O", "O", "O", "O", "O", "O", "O", "O", "O", "O", "O", "O", "O", "O", "O", "O", "O", "O", "O", "O", "O", "O", "O", "O", "O", "O", "O", "O", "O", "O", "O", "Cr", "Cr", "Cr", "Cr", "Cr", "Cr", "Cr", "Cr"],
  "frac_coords": [[0.623, 0.649, 0.907], [0.881, 0.334, 0.897], [0.381, 0.166, 0.897], [0.619, 0.834, 0.103], [0.123, 0.351, 0.593], [0.893, 0.388, 0.335], [0.888, 0.602, 0.856], [0.157, 0.882, 0.634], [0.607, 0.388, 0.835], [0.623, 0.149, 0.593], [0.612, 0.102, 0.144], [0.157, 0.382, 0.866], [0.119, 0.166, 0.397], [0.119, 0.666, 0.103], [0.393, 0.612, 0.165], [0.343, 0.882, 0.134], [0.393, 0.112, 0.335], [0.381, 0.666, 0.603], [0.123, 0.851, 0.907], [0.877, 0.149, 0.093], [0.107, 0.612, 0.665], [0.377, 0.351, 0.093], [0.893, 0.888, 0.165], [0.112, 0.898, 0.356], [0.112, 0.398, 0.144], [0.619, 0.334, 0.397], [0.657, 0.118, 0.866], [0.843, 0.118, 0.366], [0.877, 0.649, 0.407], [0.843, 0.618, 0.134], [0.612, 0.602, 0.356], [0.888, 0.102, 0.644], [0.107, 0.112, 0.835], [0.343, 0.382, 0.366], [0.607, 0.888, 0.665], [0.881, 0.834, 0.603], [0.388, 0.898, 0.856], [0.388, 0.398, 0.644], [0.657, 0.618, 0.634], [0.377, 0.851, 0.407], [0.477, 0.555, 0.765], [0.761, 0.979, 0.005], [0.023, 0.055, 0.235], [0.055, 0.738, 0.498], [0.260, 0.736, 0.773], [0.555, 0.762, 0.498], [0.261, 0.021, 0.495], [0.760, 0.764, 0.773], [0.523, 0.945, 0.265], [0.761, 0.479, 0.495], [0.240, 0.736, 0.273], [0.240, 0.236, 0.227], [0.523, 0.445, 0.235], [0.239, 0.521, 0.505], [0.055, 0.238, 0.002], [0.445, 0.738, 0.998], [0.023, 0.555, 0.265], [0.239, 0.021, 0.995], [0.739, 0.979, 0.505], [0.739, 0.479, 0.995], [0.260, 0.236, 0.727], [0.740, 0.764, 0.273], [0.977, 0.945, 0.765], [0.261, 0.521, 0.005], [0.977, 0.445, 0.735], [0.477, 0.055, 0.735], [0.555, 0.262, 0.002], [0.945, 0.762, 0.998], [0.945, 0.262, 0.502], [0.740, 0.264, 0.227], [0.760, 0.264, 0.727], [0.445, 0.238, 0.502], [0.353, 0.624, 0.885], [0.147, 0.624, 0.385], [0.853, 0.876, 0.885], [0.147, 0.124, 0.115], [0.353, 0.124, 0.615], [0.647, 0.376, 0.115], [0.647, 0.876, 0.385], [0.853, 0.376, 0.615]],
  "relative_energy_mev_per_atom": 0,
  "total_energy_ev_per_cell": -384.877,
  "delta_e_f_ev_per_atom": -1.68
}

***

Record 2
{
  "formula": "Ba3HoUFeO9",
  "functional": "GGA+U",
  "state": "optimized geometry",
  "cell": [[2.997, -5.191, 0.000], [2.997, 5.191, 0.000], [0.000, 0.000, 17.327]],
  "species": ["O", "O", "O", "O", "O", "O", "O", "O", "O", "O", "O", "O", "O", "O", "O", "O", "O", "O", "Ba", "Ba", "Ba", "Ba", "Ba", "Ba", "Ho", "Ho", "U", "U", "Fe", "Fe"],
  "frac_coords": [[0.505, 0.495, 0.295], [0.165, 0.330, 0.068], [0.839, 0.161, 0.431], [0.670, 0.835, 0.068], [0.835, 0.670, 0.931], [0.154, 0.846, 0.574], [0.839, 0.677, 0.431], [0.990, 0.495, 0.695], [0.692, 0.846, 0.574], [0.505, 0.495, 0.695], [0.154, 0.308, 0.574], [0.330, 0.165, 0.931], [0.505, 0.010, 0.695], [0.323, 0.161, 0.431], [0.505, 0.010, 0.295], [0.165, 0.835, 0.068], [0.835, 0.165, 0.931], [0.990, 0.495, 0.295], [0.667, 0.333, 0.815], [0.333, 0.667, 0.945], [0.667, 0.333, 0.052], [0.000, 0.000, 0.304], [0.333, 0.667, 0.182], [0.333, 0.667, 0.446], [0.667, 0.333, 0.615], [0.000, 0.000, 0.658], [0.000, 0.000, 0.999], [0.667, 0.333, 0.362], [0.333, 0.667, 0.646], [0.000, 0.000, 0.497]],
  "total_energy_ev_per_cell": -223.033,
  "delta_e_f_ev_per_atom": -3.02
}